Crystalline Li6TmB3O9 at its relaxed geometry. Source: the Materials Project database, functional PBE-GGA.

The structure in CIF format:
```
data_Li6TmB3O9
_symmetry_space_group_name_H-M 'P 1 21/c 1'
_symmetry_Int_Tables_number 14
_symmetry_space_group_name_Hall '-P 2ybc'
_cell_length_a 7.211
_cell_length_b 16.467
_cell_length_c 6.652
_cell_angle_alpha 90.00
_cell_angle_beta 105.51
_cell_angle_gamma 90.00
loop_
_atom_site_label
_atom_site_type_symbol
_atom_site_fract_x
_atom_site_fract_y
_atom_site_fract_z
Li1 Li 0.044 0.026 0.172
Li2 Li 0.071 0.704 0.041
Li3 Li 0.193 0.533 0.054
Li4 Li 0.213 0.207 0.864
Li5 Li 0.365 0.056 0.903
Li6 Li 0.426 0.006 0.321
Tm1 Tm 0.423 0.690 0.846
B1 B 0.063 0.618 0.688
B2 B 0.214 0.121 0.502
B3 B 0.417 0.636 0.338
O1 O 0.037 0.087 0.415
O2 O 0.084 0.701 0.728
O3 O 0.105 0.081 0.924
O4 O 0.226 0.571 0.772
O5 O 0.240 0.203 0.558
O6 O 0.363 0.686 0.164
O7 O 0.382 0.075 0.547
O8 O 0.410 0.553 0.324
O9 O 0.489 0.675 0.531
```

## Properties
E (MP2020)   -7.062 eV per atom
E_form   -2.83 eV per atom
Volume   10.01 Å³/atom